No. 1
# La2ZnGa meta-GGA r2SCAN relaxed
# **Calculated density**: 6.44 g/cm³
# **Energy**: -20.453 eV/atom
data_La2ZnGa
_cell_length_a 7.5252
_cell_length_b 7.5252
_cell_length_c 7.5252
_cell_angle_alpha 90.00
_cell_angle_beta 90.00
_cell_angle_gamma 90.00
_space_group_name_H-M_alt 'F m -3 m'
_space_group_IT_number 225
_space_group_name_Hall '-F 4 2 3'
loop_
_atom_site_label
_atom_site_type_symbol
_atom_site_fract_x
_atom_site_fract_y
_atom_site_fract_z
La1 La 0.2500 0.2500 0.2500
Zn1 Zn 0.0000 0.0000 0.0000
Ga1 Ga 0.0000 0.0000 0.5000



No. 2
# LiGa2Ir meta-GGA r2SCAN relaxed
# **Calculated density**: 10.28 g/cm³
# **Energy**: -19.974 eV/atom
data_LiGa2Ir
_cell_length_a 6.0261
_cell_length_b 6.0261
_cell_length_c 6.0261
_cell_angle_alpha 90.00
_cell_angle_beta 90.00
_cell_angle_gamma 90.00
_space_group_name_H-M_alt 'F m -3 m'
_space_group_IT_number 225
_space_group_name_Hall '-F 4 2 3'
loop_
_atom_site_label
_atom_site_type_symbol
_atom_site_fract_x
_atom_site_fract_y
_atom_site_fract_z
Li1 Li 0.0000 0.0000 0.0000
Ga1 Ga 0.2500 0.2500 0.2500
Ir1 Ir 0.0000 0.0000 0.5000



No. 3
# Zr6Be15Co8 meta-GGA r2SCAN relaxed
# **Calculated density**: 5.79 g/cm³
# **Energy**: -10.857 eV/atom
data_Zr6Be15Co8
_cell_length_a 10.9774
_cell_length_b 10.9774
_cell_length_c 10.9774
_cell_angle_alpha 90.00
_cell_angle_beta 90.00
_cell_angle_gamma 90.00
_space_group_name_H-M_alt 'F m -3 m'
_space_group_IT_number 225
_space_group_name_Hall '-F 4 2 3'
loop_
_atom_site_label
_atom_site_type_symbol
_atom_site_fract_x
_atom_site_fract_y
_atom_site_fract_z
Zr1 Zr 0.0000 0.0000 0.2149
Be1 Be 0.0000 0.0000 0.5000
Be2 Be 0.0000 0.2500 0.2500
Be3 Be 0.1790 0.1790 0.1790
Co1 Co 0.1250 0.1250 0.3750



No. 4
# MgAg2 meta-GGA r2SCAN relaxed
# **Energy above the lowest structure with this stoichiometry**: 6 meV per atom
# **Calculated density**: 7.51 g/cm³
# **Energy**: -15.767 eV/atom
data_MgAg2
_cell_length_a 3.2331
_cell_length_b 14.1393
_cell_length_c 4.6421
_cell_angle_alpha 90.00
_cell_angle_beta 90.00
_cell_angle_gamma 90.00
_space_group_name_H-M_alt 'C m c m'
_space_group_IT_number 63
_space_group_name_Hall '-C 2c 2'
loop_
_atom_site_label
_atom_site_type_symbol
_atom_site_fract_x
_atom_site_fract_y
_atom_site_fract_z
Mg1 Mg 0.0000 0.0974 0.2500
Ag1 Ag 0.0000 0.2350 0.7500
Ag2 Ag 0.0000 0.4325 0.2500



Number 1: volume 426.14 Å³ per cell, formation enthalpy at 0 K -0.49 eV/atom. Number 2: volume 218.83 Å³ per cell, formation enthalpy at 0 K -0.57 eV/atom. Number 3: volume 1322.80 Å³ per cell, formation enthalpy at 0 K -0.26 eV/atom. Number 4: volume 212.21 Å³ per cell, formation enthalpy at 0 K -0.14 eV/atom.